Below is crystalline Dy2ReC2 at its relaxed geometry, with properties calculated at the PBE level.

Cell: 5.1318 6.5704 9.8487 Å, 90.00 90.00 90.00°
Closest atoms and distances in Å follow each position.
Element x y z (fractional)
Re1 0.2500 0.7782 0.6340  3 C 1.93-2.04
C1 0.7500 0.8235 0.9501  1 Re 1.93
Dy1 0.7500 0.6817 0.4450  5 C 2.50-2.57
C2 0.7500 0.9553 0.2589  2 Re 1.97-2.04
Dy2 0.2500 0.8183 0.9450  5 C 2.50-2.57
Re2 0.2500 0.2782 0.8660  3 C 1.93-2.04
Re3 0.7500 0.2218 0.3660  3 C 1.93-2.04
C3 0.7500 0.4553 0.2411  2 Re 1.97-2.04
Dy3 0.2500 0.9683 0.2832  4 C 2.53-2.67
Dy4 0.7500 0.0317 0.7168  4 C 2.53-2.67
C4 0.2500 0.5447 0.7589  2 Re 1.97-2.04
C5 0.2500 0.0447 0.7411  2 Re 1.97-2.04
C6 0.7500 0.3235 0.5499  1 Re 1.93
C7 0.2500 0.6765 0.4501  1 Re 1.93
Dy5 0.2500 0.3183 0.5550  5 C 2.50-2.57
Dy6 0.7500 0.5317 0.7832  4 C 2.53-2.67
C8 0.2500 0.1765 0.0499  1 Re 1.93
Dy7 0.7500 0.1817 0.0550  5 C 2.50-2.57
Dy8 0.2500 0.4683 0.2168  4 C 2.53-2.67
Re4 0.7500 0.7218 0.1340  3 C 1.93-2.04

Properties
calculated volume = 16.6 Å³/atom
DFT formation energy = -420 meV per atom
E = -8.4432 eV/atom